1.
A relaxed structure of NaCaBeSi2O6F. Source: the Materials Project, functional r²SCAN.

Lattice parameters (Å, degrees): 7.382 7.406 9.936 90.00 90.00 90.00
Space group P2_12_12_1 (No. 19)
One atom of each set of equivalent atoms:
Na 0.105 0.182 0.254 (multiplicity 4)
Ca 0.079 0.146 0.739 (multiplicity 4)
Be 0.119 0.859 0.966 (multiplicity 4)
Si 0.099 0.858 0.476 (multiplicity 4)
Si 0.235 0.491 0.500 (multiplicity 4)
O 0.079 0.412 0.597 (multiplicity 4)
O 0.092 0.854 0.636 (multiplicity 4)
O 0.101 0.414 0.089 (multiplicity 4)
O 0.147 0.657 0.409 (multiplicity 4)
O 0.177 0.662 0.905 (multiplicity 4)
O 0.244 0.993 0.410 (multiplicity 4)
F 0.121 0.852 0.126 (multiplicity 4)

The value obtained for the total magnetization is 0.0 μB/cell. The calculation puts the formation energy at -3.157 eV per atom.


2.
A relaxed structure of Pr2InNi2. Source: the Materials Project, functional r²SCAN.

Lattice parameters (Å, degrees): 7.556 7.556 3.835 90.00 90.00 90.00
Space group P4/mbm (No. 127)
One atom of each set of equivalent atoms:
Pr 0.177 0.323 0.000 (multiplicity 4)
In 0.000 0.000 0.500 (multiplicity 2)
Ni 0.117 0.617 0.500 (multiplicity 4)

The value obtained for the total magnetization is 0.0 μB/cell. The calculation puts the formation energy at -0.403 eV per atom.


3.
A relaxed structure of EuMgZn2. Source: the Materials Project, functional r²SCAN.

Lattice parameters (Å, degrees): 6.976 6.976 6.976 90.00 90.00 90.00
Space group Fm-3m (No. 225)
One atom of each set of equivalent atoms:
Eu 0.000 0.000 0.000 (multiplicity 4)
Mg 0.000 0.000 0.500 (multiplicity 4)
Zn 0.250 0.250 0.250 (multiplicity 8)

The value obtained for the total magnetization is 27.9 μB/cell. The calculation puts the formation energy at -0.224 eV per atom.


4.
A relaxed structure of Er2MgOs. Source: the Materials Project, functional r²SCAN.

Lattice parameters (Å, degrees): 6.968 6.968 6.968 90.00 90.00 90.00
Space group Fm-3m (No. 225)
One atom of each set of equivalent atoms:
Er 0.250 0.250 0.250 (multiplicity 8)
Mg 0.000 0.000 0.000 (multiplicity 4)
Os 0.000 0.000 0.500 (multiplicity 4)

The value obtained for the total magnetization is 0.0 μB/cell. The calculation puts the formation energy at -0.235 eV per atom.


5.
A relaxed structure of Sc5Ga3. Source: the Materials Project, functional r²SCAN.

Lattice parameters (Å, degrees): 8.066 13.963 5.961 90.00 91.56 90.00
Space group C2/m (No. 12)
One atom of each set of equivalent atoms:
Sc 0.000 0.150 0.000 (multiplicity 4)
Sc 0.000 0.182 0.500 (multiplicity 4)
Sc 0.123 0.380 0.243 (multiplicity 8)
Sc 0.234 0.500 0.738 (multiplicity 4)
Ga 0.095 0.000 0.695 (multiplicity 4)
Ga 0.200 0.299 0.784 (multiplicity 8)

The calculation puts the energy above the most stable polymorph in this dataset at 0.0 meV per atom. The value obtained for the total magnetization is 1.3 μB/cell. The calculation puts the formation energy at -0.590 eV per atom.


6.
A relaxed structure of Sm4U2O11. Source: the Materials Project, functional r²SCAN.

Lattice parameters (Å, degrees): 12.444 5.467 7.539 90.00 107.74 90.00
Space group C2 (No. 5)
One atom of each set of equivalent atoms:
Sm 0.002 0.000 0.240 (multiplicity 4)
Sm 0.179 0.450 0.585 (multiplicity 4)
U 0.158 0.494 0.070 (multiplicity 4)
O 0.000 0.230 0.500 (multiplicity 2)
O 0.000 0.266 0.000 (multiplicity 2)
O 0.000 0.735 0.000 (multiplicity 2)
O 0.138 0.686 0.815 (multiplicity 4)
O 0.155 0.732 0.342 (multiplicity 4)
O 0.173 0.248 0.298 (multiplicity 4)
O 0.185 0.203 0.864 (multiplicity 4)

The value obtained for the total magnetization is 4.0 μB/cell. The calculation puts the formation energy at -3.747 eV per atom.


7.
A relaxed structure of KTe. Source: the Materials Project, functional r²SCAN.

Lattice parameters (Å, degrees): 5.6280 5.6280 12.2878 90.00 90.00 120.00
Space group P6_3/mmc (No. 194)
One atom of each set of equivalent atoms:
K 0.0000 0.0000 0.0000 (multiplicity 2)
K 0.3333 0.6667 0.2500 (multiplicity 2)
Te 0.3333 0.6667 0.6354 (multiplicity 4)

The value obtained for the total magnetization is 0.0 μB/cell. The calculation puts the formation energy at -1.014 eV per atom.


8.
A relaxed structure of Y3Tl. Source: the Materials Project, functional r²SCAN.

Lattice parameters (Å, degrees): 6.8942 6.8942 5.6698 90.00 90.00 120.00
Space group P6_3/mmc (No. 194)
One atom of each set of equivalent atoms:
Y 0.1709 0.3417 0.2500 (multiplicity 6)
Tl 0.3333 0.6667 0.7500 (multiplicity 2)

The value obtained for the total magnetization is 3.7 μB/cell. The calculation puts the formation energy at -0.255 eV per atom.